Crystalline LaOF at its relaxed geometry, computed with PBE.

Cell: 4.078 4.078 4.078 Å, 60.00 60.00 60.00°
Element x y z (fractional)
La1 0.000 0.000 0.000
O1 0.250 0.250 0.250
F1 0.750 0.750 0.750

Results
piezoelectric modulus e_max	1.30	C/m2
M_tot	0.002	μB/cell
raw total energy	-7.745	eV per atom
energy of formation from the pure elements	-96.7	kcal/mol of atoms
volume	47.96	Å³ per cell
space group	No. 216

Crystalline CsReO4 at its relaxed geometry, computed with PBE.

Cell: 8.656 8.656 8.656 Å, 138.99 138.99 59.40°
Element x y z (fractional)
Cs1 0.750 0.250 0.500
Cs2 0.000 0.000 0.000
Re1 0.500 0.500 0.000
Re2 0.250 0.750 0.500
O1 0.079 0.817 0.262
O2 0.567 0.804 0.238
O3 0.567 0.329 0.762
O4 0.671 0.433 0.238
O5 0.196 0.433 0.762
O6 0.183 0.446 0.262
O7 0.183 0.921 0.738
O8 0.554 0.817 0.738

Results
raw total energy	-7.418	eV per atom
energy of formation from the pure elements	-54.3	kcal/mol of atoms
volume	276.52	Å³ per cell
space group	No. 141